# 1
## RbPrSe2 (PBE)

Data for RbPrSe2 after structural relaxation.

Cell: 4.4154 4.4154 8.4259 Å, 74.81 74.81 60.00°
With the nearest neighbours (Å) after each atom.
Fractional positions:
Rb  0.0000  0.0000  0.0000  6 Se 3.50
Se  0.2340  0.2340  0.2979  3 Pr 3.02
Se  0.7660  0.7660  0.7021  3 Pr 3.02
Pr  0.5000  0.5000  0.5000  6 Se 3.02

Computed properties:
Formation enthalpy at 0 K (eV/atom): -1.96
E (MP2020) (Ry per atom): -0.37831
Calculated total energy (eV/atom): -4.911
V (A^3/atom): 33.9

=====

# 2
## Tl2SCl2 (PBE)

Data for Tl2SCl2 after structural relaxation.

Cell: 6.4731 6.4731 12.6732 Å, 90.00 90.00 90.00°
With the nearest neighbours (Å) after each atom.
Fractional positions:
S  0.5000  0.5000  0.0000  2 Tl 2.50
Cl  0.5000  0.5000  0.6050  1 Tl 2.51, 1 Cl 2.66
Cl  0.5000  0.5000  0.3950  1 Tl 2.51, 1 Cl 2.66
Tl  0.5000  0.5000  0.8029  1 S 2.50, 1 Cl 2.51
Tl  0.5000  0.5000  0.1971  1 S 2.50, 1 Cl 2.51

Computed properties:
Formation enthalpy at 0 K (eV/atom): -0.46
E (MP2020) (Ry per atom): -0.21828
Calculated total energy (eV/atom): -2.624
V (A^3/atom): 106.2

=====

# 3
## LiMg14Ga (PBE)

Data for LiMg14Ga after structural relaxation.

Cell: 6.2892 6.2892 10.3584 Å, 90.00 90.00 120.00°
With the nearest neighbours (Å) after each atom.
Fractional positions:
Mg  0.3324  0.6647  0.8745  10 Mg 3.13-3.17, 1 Ga 3.15, 1 Li 3.16
Mg  0.8353  0.1676  0.8745  10 Mg 3.13-3.17, 1 Ga 3.15, 1 Li 3.16
Mg  0.3324  0.1676  0.8745  10 Mg 3.13-3.17, 1 Ga 3.15, 1 Li 3.16
Mg  0.3324  0.1676  0.3755  10 Mg 3.13-3.17, 1 Ga 3.15, 1 Li 3.16
Mg  0.8333  0.6667  0.8757  12 Mg 3.14-3.17
Mg  0.6665  0.8335  0.1250  10 Mg 3.14-3.17, 2 Li 3.14
Mg  0.3324  0.6647  0.3755  10 Mg 3.13-3.17, 1 Ga 3.15, 1 Li 3.16
Mg  0.1663  0.8331  0.6250  10 Mg 3.14-3.17, 2 Ga 3.14
Mg  0.8333  0.6667  0.3743  12 Mg 3.14-3.17
Mg  0.6669  0.8331  0.6250  10 Mg 3.14-3.17, 2 Ga 3.14
Mg  0.8353  0.1676  0.3755  10 Mg 3.13-3.17, 1 Ga 3.15, 1 Li 3.16
Mg  0.1670  0.8335  0.1250  10 Mg 3.14-3.17, 2 Li 3.14
Mg  0.6669  0.3337  0.6250  10 Mg 3.14-3.17, 2 Ga 3.14
Mg  0.6665  0.3330  0.1250  10 Mg 3.14-3.17, 2 Li 3.14
Ga  0.1667  0.3333  0.6250  12 Mg 3.14-3.15
Li  0.1667  0.3333  0.1250  12 Mg 3.14-3.16

Computed properties:
Formation enthalpy at 0 K (eV/atom): -0.03
Energy above the most stable polymorph in this dataset (kJ/mol of formula units): 8.3
Calculated total energy (eV/atom): -1.736
V (A^3/atom): 22.2

=====

# 4
## Er3Ir (PBE)

Data for Er3Ir after structural relaxation.

Cell: 6.3181 7.2169 9.1696 Å, 90.00 90.00 90.00°
With the nearest neighbours (Å) after each atom.
Fractional positions:
Ir  0.4528  0.3819  0.2500  6 Er 2.75-2.88
Ir  0.0472  0.8819  0.2500  6 Er 2.75-2.88
Ir  0.5472  0.6181  0.7500  6 Er 2.75-2.88
Ir  0.9528  0.1181  0.7500  6 Er 2.75-2.88
Er  0.8663  0.5351  0.2500  2 Ir 2.75-2.84
Er  0.6713  0.3234  0.5627  2 Ir 2.84-2.88
Er  0.6713  0.3234  0.9373  2 Ir 2.84-2.88
Er  0.8287  0.8234  0.9373  2 Ir 2.84-2.88
Er  0.1337  0.4649  0.7500  2 Ir 2.75-2.84
Er  0.6337  0.0351  0.2500  2 Ir 2.75-2.84
Er  0.3287  0.6766  0.0627  2 Ir 2.84-2.88
Er  0.1713  0.1766  0.0627  2 Ir 2.84-2.88
Er  0.8287  0.8234  0.5627  2 Ir 2.84-2.88
Er  0.3287  0.6766  0.4373  2 Ir 2.84-2.88
Er  0.1713  0.1766  0.4373  2 Ir 2.84-2.88
Er  0.3663  0.9649  0.7500  2 Ir 2.75-2.84

Computed properties:
Formation enthalpy at 0 K (eV/atom): -0.62
Calculated total energy (eV/atom): -6.251
V (A^3/atom): 26.1

=====

# 5
## Cs3As (PBE)

Data for Cs3As after structural relaxation.

Cell: 11.0429 11.0429 11.4303 Å, 90.00 90.00 120.00°
With the nearest neighbours (Å) after each atom.
Fractional positions:
Cs  0.3692  0.0000  0.0114  2 As 3.83-3.85, 7 Cs 3.91-4.27
Cs  0.7073  0.0000  0.1777  3 As 3.83-3.94, 7 Cs 3.91-4.24
Cs  0.3333  0.6667  0.7980  3 As 3.75, 3 Cs 4.16
Cs  0.6308  0.6308  0.0114  2 As 3.83-3.85, 7 Cs 3.91-4.27
Cs  0.0000  0.2927  0.6777  3 As 3.83-3.94, 7 Cs 3.91-4.24
Cs  0.0000  0.0000  0.9176  3 As 3.72
Cs  0.0000  0.6308  0.5114  2 As 3.83-3.85, 7 Cs 3.91-4.27
Cs  0.6667  0.3333  0.2980  3 As 3.75, 3 Cs 4.16
Cs  0.6667  0.3333  0.7980  3 As 3.75, 3 Cs 4.16
Cs  0.3333  0.6667  0.2980  3 As 3.75, 3 Cs 4.16
Cs  0.7073  0.7073  0.6777  3 As 3.83-3.94, 7 Cs 3.91-4.24
Cs  0.0000  0.0000  0.4176  3 As 3.72
Cs  0.2927  0.0000  0.6777  3 As 3.83-3.94, 7 Cs 3.91-4.24
Cs  0.0000  0.3692  0.0114  2 As 3.83-3.85, 7 Cs 3.91-4.27
Cs  0.6308  0.0000  0.5114  2 As 3.83-3.85, 7 Cs 3.91-4.27
Cs  0.3692  0.3692  0.5114  2 As 3.83-3.85, 7 Cs 3.91-4.27
Cs  0.0000  0.7073  0.1777  3 As 3.83-3.94, 7 Cs 3.91-4.24
Cs  0.2927  0.2927  0.1777  3 As 3.83-3.94, 7 Cs 3.91-4.24
As  0.3281  0.0000  0.3444  8 Cs 3.72-3.94
As  0.0000  0.3281  0.3444  8 Cs 3.72-3.94
As  0.3281  0.3281  0.8444  8 Cs 3.72-3.94
As  0.0000  0.6719  0.8444  8 Cs 3.72-3.94
As  0.6719  0.0000  0.8444  8 Cs 3.72-3.94
As  0.6719  0.6719  0.3444  8 Cs 3.72-3.94

Computed properties:
Formation enthalpy at 0 K (eV/atom): -0.23
Calculated total energy (eV/atom): -2.064
V (A^3/atom): 50.3

=====

# 6
## Mn4NiSe5 (PBE)

Data for Mn4NiSe5 after structural relaxation.

Cell: 10.6578 10.6578 10.6578 Å, 160.99 154.43 32.05°
With the nearest neighbours (Å) after each atom.
Fractional positions:
Mn  0.6209  0.6209  0.0000  4 Se 2.39-2.48
Mn  0.1693  0.1693  0.0000  4 Se 2.44-2.49
Mn  0.8307  0.8307  0.0000  4 Se 2.44-2.49
Mn  0.3791  0.3791  0.0000  4 Se 2.39-2.48
Se  0.0830  0.5830  0.5000  2 Ni 2.45, 4 Mn 2.48-2.49
Se  0.6996  0.1996  0.5000  4 Mn 2.39-2.44
Se  0.5000  0.0000  0.5000  2 Ni 2.36
Se  0.3004  0.8004  0.5000  4 Mn 2.39-2.44
Se  0.9170  0.4170  0.5000  2 Ni 2.45, 4 Mn 2.48-2.49
Ni  0.0000  0.0000  0.0000  6 Se 2.36-2.45

Computed properties:
Formation enthalpy at 0 K (eV/atom): -0.33
E (MP2020) (Ry per atom): -0.46466
Calculated total energy (eV/atom): -6.086
V (A^3/atom): 17.0

=====

Q: Which of these has the highest calculated total energy?
A: LiMg14Ga